(1)
Entry from the Materials Project database: Li5Fe3Sb2O10 after structural relaxation (GGA+U).

a = 5.273 Å, b = 5.391 Å, c = 8.238 Å
α = 71.55°, β = 71.87°, γ = 80.19°
Space group P1 (No. 1)
One atom of each set of equivalent atoms:
Li (0.000, 0.000, 0.000) x1
Li (0.002, 0.633, 0.794) x1
Li (0.487, 0.900, 0.706) x1
Li (0.975, 0.159, 0.615) x1
Li (0.983, 0.815, 0.408) x1
Fe (0.483, 0.095, 0.315) x1
Fe (0.496, 0.707, 0.098) x1
Fe (0.992, 0.403, 0.205) x1
Sb (0.482, 0.501, 0.504) x1
Sb (0.499, 0.299, 0.906) x1
O (0.250, 0.472, 0.340) x1
O (0.250, 0.852, 0.545) x1
O (0.255, 0.076, 0.131) x1
O (0.256, 0.619, 0.953) x1
O (0.264, 0.249, 0.765) x1
O (0.721, 0.340, 0.058) x1
O (0.724, 0.527, 0.677) x1
O (0.727, 0.968, 0.870) x1
O (0.734, 0.735, 0.274) x1
O (0.741, 0.168, 0.452) x1

Calculated values
M_tot in Bohr magnetons per cell: 11.2
Energy above the most stable polymorph in this dataset in meV/atom: 20
DFT total energy in eV for the cell shown: -117.26
Mass density in g/cm³: 4.78
Energy of formation from the pure elements in eV per formula unit: -38.21


(2)
Entry from the Materials Project database: LiMn3B3O9 after structural relaxation (GGA+U).

a = 5.314 Å, b = 8.198 Å, c = 9.230 Å
α = 73.75°, β = 73.86°, γ = 87.73°
Space group P1 (No. 1)
One atom of each set of equivalent atoms:
Li (0.000, 0.000, 0.000) x1
Li (0.331, 0.328, 0.341) x1
Mn (0.139, 0.742, 0.810) x1
Mn (0.176, 0.350, 0.926) x1
Mn (0.452, 0.076, 0.152) x1
Mn (0.503, 0.675, 0.256) x1
Mn (0.772, 0.413, 0.492) x1
Mn (0.828, 0.009, 0.594) x1
B (0.075, 0.558, 0.151) x1
B (0.204, 0.511, 0.594) x1
B (0.418, 0.901, 0.480) x1
B (0.542, 0.867, 0.923) x1
B (0.748, 0.225, 0.821) x1
B (0.872, 0.171, 0.269) x1
O (0.019, 0.564, 0.008) x1
O (0.065, 0.132, 0.150) x1
O (0.207, 0.914, 0.605) x1
O (0.270, 0.556, 0.714) x1
O (0.284, 0.870, 0.924) x1
O (0.316, 0.527, 0.169) x1
O (0.361, 0.888, 0.344) x1
O (0.396, 0.458, 0.482) x1
O (0.531, 0.239, 0.943) x1
O (0.618, 0.893, 0.050) x1
O (0.621, 0.200, 0.259) x1
O (0.670, 0.894, 0.486) x1
O (0.695, 0.216, 0.681) x1
O (0.745, 0.844, 0.799) x1
O (0.861, 0.569, 0.276) x1
O (0.946, 0.201, 0.397) x1
O (0.954, 0.529, 0.585) x1
O (0.991, 0.204, 0.838) x1

Calculated values
M_tot in Bohr magnetons per cell: 26.0
Energy above the most stable polymorph in this dataset in meV/atom: 14
DFT total energy in eV for the cell shown: -242.07
Mass density in g/cm³: 3.12
Energy of formation from the pure elements in eV per formula unit: -38.26


(3)
Entry from the Materials Project database: Ti3V2P6WO24 after structural relaxation (GGA+U).

a = 8.7286 Å, b = 8.7286 Å, c = 21.1398 Å
α = 90.00°, β = 90.00°, γ = 120.00°
Space group R3 (No. 146, hexagonal axes)
One atom of each set of equivalent atoms:
Ti (0.0000, 0.0000, 0.0000) x3
Ti (0.0000, 0.0000, 0.2103) x3
Ti (0.0000, 0.0000, 0.7096) x3
V (0.0000, 0.0000, 0.3512) x3
V (0.0000, 0.0000, 0.8557) x3
P (0.0009, 0.2971, 0.6056) x9
P (0.0444, 0.6720, 0.7706) x9
W (0.0000, 0.0000, 0.4953) x3
O (0.0008, 0.2079, 0.5446) x9
O (0.0040, 0.1935, 0.6646) x9
O (0.0053, 0.8100, 0.1643) x9
O (0.0169, 0.1831, 0.2783) x9
O (0.0229, 0.8379, 0.7777) x9
O (0.1543, 0.6834, 0.7122) x9
O (0.1595, 0.6853, 0.0930) x9
O (0.1663, 0.4875, 0.6024) x9

Calculated values
M_tot in Bohr magnetons per cell: 23.4
DFT total energy in eV for the cell shown: -848.22
Mass density in g/cm³: 3.57
Energy of formation from the pure elements in eV per formula unit: -101.02